--- A ---
{"formula": "MgCu2O4", "functional": "GGA-PBE", "state": "relaxed", "sg": "P3m1", "lattice_angstrom": [[5.944, 0.000, 0.000], [-2.972, 5.148, 0.000], [0.000, 0.000, 14.432]], "species": ["Mg", "Mg", "Mg", "Mg", "Mg", "Mg", "Cu", "Cu", "Cu", "Cu", "Cu", "Cu", "Cu", "Cu", "Cu", "Cu", "Cu", "Cu", "O", "O", "O", "O", "O", "O", "O", "O", "O", "O", "O", "O", "O", "O", "O", "O", "O", "O", "O", "O", "O", "O", "O", "O"], "fractional_positions": [[0.000, 0.000, 0.000], [0.000, 0.000, 0.242], [0.000, 0.000, 0.622], [0.333, 0.667, 0.574], [0.667, 0.333, 0.288], [0.667, 0.333, 0.910], [0.167, 0.334, 0.789], [0.167, 0.833, 0.789], [0.331, 0.166, 0.456], [0.333, 0.667, 0.336], [0.333, 0.667, 0.957], [0.501, 0.001, 0.123], [0.501, 0.499, 0.123], [0.666, 0.833, 0.789], [0.667, 0.333, 0.667], [0.834, 0.166, 0.456], [0.834, 0.669, 0.456], [0.999, 0.499, 0.123], [0.000, 0.000, 0.379], [0.000, 0.000, 0.862], [0.034, 0.517, 0.869], [0.152, 0.303, 0.531], [0.152, 0.848, 0.531], [0.183, 0.367, 0.046], [0.183, 0.817, 0.046], [0.313, 0.156, 0.713], [0.333, 0.667, 0.203], [0.333, 0.667, 0.715], [0.361, 0.180, 0.198], [0.483, 0.517, 0.869], [0.483, 0.966, 0.869], [0.513, 0.026, 0.383], [0.513, 0.487, 0.383], [0.633, 0.817, 0.046], [0.667, 0.333, 0.047], [0.667, 0.333, 0.535], [0.697, 0.848, 0.531], [0.820, 0.180, 0.198], [0.820, 0.639, 0.198], [0.844, 0.156, 0.713], [0.844, 0.687, 0.713], [0.974, 0.487, 0.383]]}

=====

--- B ---
{"formula": "MgCu2O4", "functional": "GGA-PBE", "state": "relaxed", "sg": "R3m", "lattice_angstrom": [[2.978, 1.719, 4.803], [-2.978, 1.719, 4.803], [0.000, -3.439, 4.803]], "species": ["Mg", "Mg", "Cu", "Cu", "Cu", "Cu", "O", "O", "O", "O", "O", "O", "O", "O"], "fractional_positions": [[0.000, 0.000, 0.000], [0.386, 0.386, 0.386], [0.001, 0.001, 0.498], [0.001, 0.498, 0.001], [0.498, 0.001, 0.001], [0.619, 0.619, 0.619], [0.211, 0.752, 0.752], [0.243, 0.243, 0.793], [0.243, 0.793, 0.243], [0.248, 0.248, 0.248], [0.750, 0.750, 0.750], [0.752, 0.211, 0.752], [0.752, 0.752, 0.211], [0.793, 0.243, 0.243]]}

=====

--- C ---
{"formula": "MgCu2O4", "functional": "GGA-PBE", "state": "relaxed", "sg": "I4_1/a", "lattice_angstrom": [[-2.912, 2.912, 4.325], [2.912, -2.912, 4.325], [2.912, 2.912, -4.325]], "species": ["Mg", "Mg", "Cu", "Cu", "Cu", "Cu", "O", "O", "O", "O", "O", "O", "O", "O"], "fractional_positions": [[0.375, 0.125, 0.250], [0.625, 0.875, 0.750], [0.000, 0.000, 0.500], [0.000, 0.500, 0.000], [0.000, 0.500, 0.500], [0.500, 0.500, 0.000], [0.107, 0.727, 0.922], [0.227, 0.804, 0.619], [0.304, 0.185, 0.578], [0.315, 0.393, 0.119], [0.685, 0.607, 0.881], [0.696, 0.815, 0.422], [0.773, 0.196, 0.381], [0.893, 0.273, 0.078]]}

=====

It is A that is the least stable of them.

=====

--- A ---
{"formula": "MgCu2O4", "functional": "GGA-PBE", "state": "relaxed", "sg": "P1", "lattice_angstrom": [[2.880, 0.000, 0.000], [1.414, 7.190, 0.000], [1.391, 2.499, 7.363]], "species": ["Mg", "Mg", "Cu", "Cu", "Cu", "Cu", "O", "O", "O", "O", "O", "O", "O", "O"], "fractional_positions": [[0.000, 0.000, 0.000], [0.358, 0.615, 0.661], [0.067, 0.217, 0.640], [0.292, 0.397, 0.022], [0.538, 0.627, 0.308], [0.825, 0.984, 0.354], [0.128, 0.596, 0.160], [0.235, 0.011, 0.505], [0.451, 0.914, 0.189], [0.543, 0.382, 0.522], [0.545, 0.096, 0.808], [0.813, 0.520, 0.852], [0.816, 0.231, 0.140], [0.908, 0.699, 0.473]]}

=====

--- B ---
{"formula": "MgCu2O4", "functional": "GGA-PBE", "state": "relaxed", "sg": "C2/m", "lattice_angstrom": [[5.184, -2.938, 0.000], [5.184, 2.938, 0.000], [-3.305, 0.000, 4.853]], "species": ["Mg", "Mg", "Cu", "Cu", "Cu", "Cu", "O", "O", "O", "O", "O", "O", "O", "O"], "fractional_positions": [[0.123, 0.123, 0.376], [0.877, 0.877, 0.624], [0.000, 0.500, 0.000], [0.500, 0.000, 0.000], [0.500, 0.500, 0.000], [0.500, 0.500, 0.500], [0.251, 0.251, 0.224], [0.262, 0.711, 0.243], [0.266, 0.266, 0.785], [0.289, 0.738, 0.757], [0.711, 0.262, 0.243], [0.734, 0.734, 0.215], [0.738, 0.289, 0.757], [0.749, 0.749, 0.776]]}

=====

--- C ---
{"formula": "MgCu2O4", "functional": "GGA-PBE", "state": "relaxed", "sg": "P3m1", "lattice_angstrom": [[5.931, 0.000, 0.000], [-2.965, 5.136, 0.000], [0.000, 0.000, 14.474]], "species": ["Mg", "Mg", "Mg", "Mg", "Mg", "Mg", "Cu", "Cu", "Cu", "Cu", "Cu", "Cu", "Cu", "Cu", "Cu", "Cu", "Cu", "Cu", "O", "O", "O", "O", "O", "O", "O", "O", "O", "O", "O", "O", "O", "O", "O", "O", "O", "O", "O", "O", "O", "O", "O", "O"], "fractional_positions": [[0.000, 0.000, 0.000], [0.000, 0.000, 0.244], [0.333, 0.667, 0.578], [0.667, 0.333, 0.287], [0.667, 0.333, 0.663], [0.667, 0.333, 0.913], [0.000, 0.000, 0.624], [0.167, 0.334, 0.789], [0.167, 0.833, 0.789], [0.332, 0.166, 0.455], [0.333, 0.667, 0.333], [0.333, 0.667, 0.956], [0.500, 0.001, 0.123], [0.500, 0.500, 0.123], [0.666, 0.833, 0.789], [0.834, 0.166, 0.455], [0.834, 0.668, 0.455], [0.999, 0.500, 0.123], [0.000, 0.000, 0.382], [0.000, 0.000, 0.863], [0.031, 0.515, 0.869], [0.150, 0.300, 0.536], [0.150, 0.850, 0.536], [0.184, 0.368, 0.045], [0.184, 0.816, 0.045], [0.304, 0.152, 0.709], [0.333, 0.667, 0.201], [0.333, 0.667, 0.716], [0.360, 0.180, 0.197], [0.485, 0.515, 0.869], [0.485, 0.969, 0.869], [0.510, 0.020, 0.379], [0.510, 0.490, 0.379], [0.632, 0.816, 0.045], [0.667, 0.333, 0.048], [0.667, 0.333, 0.526], [0.700, 0.850, 0.536], [0.820, 0.180, 0.197], [0.820, 0.640, 0.197], [0.848, 0.152, 0.709], [0.848, 0.696, 0.709], [0.980, 0.490, 0.379]]}

=====

--- D ---
{"formula": "MgCu2O4", "functional": "GGA-PBE", "state": "relaxed", "sg": "P1", "lattice_angstrom": [[2.917, 0.000, 0.000], [-0.007, 8.733, 0.000], [-0.006, -0.001, 10.293]], "species": ["Mg", "Mg", "Mg", "Mg", "Cu", "Cu", "Cu", "Cu", "Cu", "Cu", "Cu", "Cu", "O", "O", "O", "O", "O", "O", "O", "O", "O", "O", "O", "O", "O", "O", "O", "O"], "fractional_positions": [[0.000, 0.000, 0.000], [0.005, 0.501, 0.825], [0.494, 0.018, 0.502], [0.500, 0.520, 0.323], [0.005, 0.846, 0.263], [0.007, 0.819, 0.777], [0.498, 0.173, 0.763], [0.499, 0.200, 0.277], [0.504, 0.673, 0.061], [0.505, 0.699, 0.547], [0.997, 0.318, 0.046], [0.997, 0.347, 0.560], [0.000, 0.234, 0.877], [0.004, 0.550, 0.485], [0.004, 0.637, 0.197], [0.004, 0.730, 0.946], [0.005, 0.856, 0.589], [0.492, 0.161, 0.088], [0.494, 0.383, 0.697], [0.498, 0.288, 0.444], [0.500, 0.469, 0.986], [0.506, 0.785, 0.378], [0.506, 0.884, 0.125], [0.507, 0.661, 0.735], [0.507, 0.971, 0.840], [0.994, 0.136, 0.625], [0.997, 0.357, 0.235], [0.999, 0.050, 0.340]]}

=====

It is A that is the least stable of them.

=====

--- A ---
{"formula": "MgCu2O4", "functional": "GGA-PBE", "state": "relaxed", "sg": "Cm", "lattice_angstrom": [[5.092, -2.982, 0.000], [5.092, 2.982, 0.000], [-3.493, 0.000, 19.366]], "species": ["Mg", "Mg", "Mg", "Mg", "Mg", "Mg", "Mg", "Mg", "Cu", "Cu", "Cu", "Cu", "Cu", "Cu", "Cu", "Cu", "Cu", "Cu", "Cu", "Cu", "Cu", "Cu", "Cu", "Cu", "O", "O", "O", "O", "O", "O", "O", "O", "O", "O", "O", "O", "O", "O", "O", "O", "O", "O", "O", "O", "O", "O", "O", "O", "O", "O", "O", "O", "O", "O", "O", "O"], "fractional_positions": [[0.000, 0.000, 0.000], [0.125, 0.125, 0.875], [0.252, 0.252, 0.750], [0.501, 0.501, 0.500], [0.730, 0.730, 0.657], [0.749, 0.749, 0.250], [0.875, 0.875, 0.125], [0.979, 0.979, 0.403], [0.000, 0.500, 0.000], [0.027, 0.027, 0.595], [0.226, 0.226, 0.156], [0.249, 0.749, 0.249], [0.252, 0.749, 0.751], [0.277, 0.277, 0.344], [0.376, 0.376, 0.626], [0.477, 0.477, 0.910], [0.500, 0.000, 0.000], [0.501, 0.998, 0.500], [0.523, 0.523, 0.091], [0.625, 0.625, 0.376], [0.749, 0.249, 0.249], [0.749, 0.252, 0.751], [0.773, 0.773, 0.844], [0.998, 0.501, 0.500], [0.057, 0.057, 0.694], [0.062, 0.062, 0.190], [0.063, 0.586, 0.192], [0.106, 0.554, 0.690], [0.159, 0.686, 0.058], [0.191, 0.191, 0.562], [0.191, 0.651, 0.562], [0.192, 0.192, 0.058], [0.304, 0.304, 0.447], [0.309, 0.309, 0.942], [0.313, 0.842, 0.942], [0.351, 0.803, 0.440], [0.411, 0.936, 0.807], [0.442, 0.442, 0.810], [0.442, 0.900, 0.313], [0.444, 0.444, 0.314], [0.554, 0.106, 0.690], [0.555, 0.555, 0.194], [0.555, 0.555, 0.692], [0.586, 0.063, 0.192], [0.651, 0.191, 0.562], [0.686, 0.159, 0.058], [0.690, 0.690, 0.059], [0.692, 0.692, 0.554], [0.803, 0.351, 0.440], [0.806, 0.806, 0.438], [0.808, 0.808, 0.942], [0.842, 0.313, 0.942], [0.900, 0.442, 0.313], [0.936, 0.411, 0.807], [0.938, 0.938, 0.807], [0.941, 0.941, 0.301]]}

=====

--- B ---
{"formula": "MgCu2O4", "functional": "GGA-PBE", "state": "relaxed", "sg": "Fd-3m", "lattice_angstrom": [[0.000, 4.200, 4.200], [4.200, 0.000, 4.200], [4.200, 4.200, 0.000]], "species": ["Mg", "Mg", "Cu", "Cu", "Cu", "Cu", "O", "O", "O", "O", "O", "O", "O", "O"], "fractional_positions": [[0.125, 0.125, 0.125], [0.875, 0.875, 0.875], [0.000, 0.500, 0.500], [0.500, 0.000, 0.500], [0.500, 0.500, 0.000], [0.500, 0.500, 0.500], [0.261, 0.261, 0.261], [0.261, 0.261, 0.717], [0.261, 0.717, 0.261], [0.283, 0.739, 0.739], [0.717, 0.261, 0.261], [0.739, 0.283, 0.739], [0.739, 0.739, 0.283], [0.739, 0.739, 0.739]]}

=====

--- C ---
{"formula": "MgCu2O4", "functional": "GGA-PBE", "state": "relaxed", "sg": "Cm", "lattice_angstrom": [[7.190, -1.440, 0.000], [7.190, 1.440, 0.000], [-4.691, 0.000, 7.363]], "species": ["Mg", "Mg", "Cu", "Cu", "Cu", "Cu", "O", "O", "O", "O", "O", "O", "O", "O"], "fractional_positions": [[0.000, 0.000, 0.000], [0.634, 0.634, 0.661], [0.171, 0.171, 0.353], [0.463, 0.463, 0.308], [0.710, 0.710, 0.021], [0.925, 0.925, 0.640], [0.082, 0.082, 0.473], [0.182, 0.182, 0.140], [0.186, 0.186, 0.853], [0.448, 0.448, 0.808], [0.452, 0.452, 0.521], [0.552, 0.552, 0.188], [0.760, 0.760, 0.501], [0.880, 0.880, 0.156]]}

=====

It is C that is the least stable of them.